1.
This record from the Materials Project describes an optimized crystal structure of VPHO5. The functional is r2SCAN. Values from VASP.

```
&SYSTEM
  ibrav = 0, nat = 32, ntyp = 4
/
ATOMIC_SPECIES
V 50.94 V.upf
P 30.97 P.upf
H 1.01 H.upf
O 16.00 O.upf
CELL_PARAMETERS angstrom
-3.076 5.913 -0.329
-7.076 0.061 -1.648
-1.524 -0.414 7.701
ATOMIC_POSITIONS angstrom
V -4.300 -0.176 3.027
V -6.600 2.574 6.713
V -3.076 5.913 -0.329
V -9.377 2.811 2.038
P -2.730 1.573 0.818
P -5.030 4.323 4.504
P -8.947 3.988 4.906
P -6.647 1.238 1.220
H -5.113 4.898 0.598
H -4.336 1.734 4.613
H -6.564 0.663 5.126
H -7.340 3.826 1.111
O -8.030 4.190 1.709
O -7.254 1.026 5.724
O -3.647 1.371 4.015
O -4.423 4.534 0.000
O -3.214 0.261 1.469
O -5.514 3.011 5.155
O -8.463 5.300 4.255
O -6.163 2.550 0.569
O -8.009 3.628 6.058
O -5.709 0.878 2.372
O -3.668 1.933 -0.334
O -5.968 4.683 3.352
O -1.324 1.371 0.272
O -3.624 4.121 3.958
O -10.353 4.190 5.452
O -8.053 1.440 1.766
O -2.733 2.702 1.853
O -5.033 5.453 5.539
O -8.943 2.858 3.871
O -6.643 0.108 0.185
```

Properties
For the energy relative to the elements, the calculation gives -17.90 eV/f.u.

---

2.
This record from the Materials Project describes an optimized crystal structure of ZnP2H8O10. The functional is r2SCAN. Values from VASP.

```
&SYSTEM
  ibrav = 0, nat = 42, ntyp = 4
/
ATOMIC_SPECIES
Zn 65.41 Zn.upf
P 30.97 P.upf
H 1.01 H.upf
O 16.00 O.upf
CELL_PARAMETERS angstrom
9.961 0.000 0.000
0.000 5.202 0.097
0.000 4.723 7.170
ATOMIC_POSITIONS angstrom
Zn 0.000 0.000 0.000
Zn 4.981 2.362 3.585
P 2.157 6.307 2.502
P 2.823 8.669 6.087
P 7.804 3.618 4.765
P 7.138 1.256 1.180
H 0.743 7.048 6.031
H 4.238 4.687 2.446
H 9.219 2.877 1.236
H 5.724 5.239 4.821
H 9.452 6.481 5.291
H 5.490 4.119 1.706
H 0.509 3.445 1.976
H 4.472 5.806 5.561
H 1.075 5.680 4.356
H 3.906 3.318 0.771
H 8.886 4.246 2.911
H 6.056 6.607 6.496
H 2.248 2.972 3.503
H 2.733 5.334 7.089
H 7.714 6.953 3.764
H 7.228 4.591 0.179
O 1.677 0.763 1.013
O 3.303 3.125 4.598
O 8.284 9.162 6.255
O 6.658 6.800 2.669
O 3.658 6.208 2.678
O 1.323 8.570 6.263
O 6.303 3.717 4.590
O 8.639 1.356 1.004
O 1.419 5.345 3.478
O 3.562 7.706 7.063
O 8.543 4.581 3.789
O 6.399 2.219 0.204
O 1.711 2.580 2.731
O 3.269 4.941 6.316
O 8.250 7.346 4.536
O 6.692 4.984 0.951
O 0.338 6.189 5.713
O 4.643 3.827 2.128
O 9.624 3.736 1.554
O 5.318 6.098 5.139
```

Properties
Its symmetry is P2_1/c, No. 14. For the energy relative to the elements, the calculation gives -33.35 eV/f.u.

---

3.
This record from the Materials Project describes an optimized crystal structure of H2Pb3O4. The functional is r2SCAN. Values from VASP.

```
&SYSTEM
  ibrav = 0, nat = 36, ntyp = 3
/
ATOMIC_SPECIES
H 1.01 H.upf
Pb 207.20 Pb.upf
O 16.00 O.upf
CELL_PARAMETERS angstrom
-6.540 -0.544 -4.796
-3.379 -5.251 5.203
-3.943 7.069 4.574
ATOMIC_POSITIONS angstrom
H -10.053 0.552 4.504
H -5.717 4.144 2.691
H -8.194 -3.049 2.222
H -4.404 -1.756 3.794
H -7.550 -0.392 -1.026
H -9.557 3.197 1.147
H -6.339 1.726 6.195
H -3.633 0.675 0.399
Pb -8.035 2.617 3.772
Pb -5.826 -1.343 1.210
Pb -2.838 5.089 3.293
Pb -1.104 1.980 1.281
Pb -9.322 -0.160 1.702
Pb -4.556 1.464 3.299
Pb -8.104 -4.135 -0.554
Pb -7.130 -0.889 4.637
Pb -6.715 2.133 0.325
Pb -8.926 6.025 1.852
Pb -8.861 2.289 7.684
Pb -1.832 -1.631 0.981
O -11.825 0.914 4.900
O -4.980 5.639 3.497
O -7.618 -1.314 2.521
O -3.763 -3.389 4.387
O -2.699 0.501 0.139
O -6.505 1.875 7.154
O -9.948 4.045 0.833
O -7.540 -0.139 -0.074
O -4.969 -1.010 3.487
O -8.572 -3.873 1.837
O -6.038 3.236 2.482
O -9.175 0.461 4.067
O -5.245 0.798 1.302
O -6.447 1.207 4.420
O -8.413 1.858 1.719
O -7.154 -0.616 -2.821
```

Properties
Its symmetry is P-42_1c, No. 114. For the energy relative to the elements, the calculation gives -10.76 eV/f.u.

---

4.
This record from the Materials Project describes an optimized crystal structure of PrH3O3. The functional is r2SCAN. Values from VASP.

```
&SYSTEM
  ibrav = 0, nat = 14, ntyp = 3
/
ATOMIC_SPECIES
Pr 140.91 Pr.upf
H 1.01 H.upf
O 16.00 O.upf
CELL_PARAMETERS angstrom
0.000 0.000 -3.764
-3.233 -5.600 0.000
-3.233 5.600 0.000
ATOMIC_POSITIONS angstrom
Pr -3.233 -1.867 -0.941
Pr -3.233 1.867 -2.823
H -5.143 -0.787 -2.823
H -1.343 -0.753 -2.823
H -3.214 -4.061 -2.823
H -1.324 0.786 -0.941
H -5.124 0.753 -0.941
H -3.253 4.061 -0.941
O -4.939 -1.730 -2.823
O -2.262 -0.458 -2.823
O -2.499 -3.412 -2.823
O -1.528 1.730 -0.941
O -4.204 0.458 -0.941
O -3.968 3.412 -0.941
```

Properties
Its symmetry is P6_3/m, No. 176. For the energy relative to the elements, the calculation gives -14.47 eV/f.u.